Density functional theory data (PBE with a Hubbard U) for a relaxed structure of Li4Mn3Cr2SnP6O24.

Cell lengths 8.621, 8.779, 8.907 Å; angles 61.30, 61.78, 62.22 degrees
Atoms (fractional coordinates):
P 0.064 0.742 0.450
P 0.573 0.956 0.247
P 0.244 0.556 0.949
P 0.748 0.437 0.053
P 0.436 0.049 0.751
P 0.924 0.243 0.539
O 0.596 0.984 0.826
O 0.776 0.903 0.097
O 0.679 0.467 0.908
O 0.419 0.032 0.170
O 0.104 0.767 0.894
O 0.449 0.231 0.594
O 0.458 0.905 0.684
O 0.101 0.283 0.483
O 0.249 0.070 0.905
O 0.568 0.768 0.404
O 0.067 0.904 0.272
O 0.162 0.417 0.991
O 0.916 0.664 0.487
O 0.811 0.601 0.001
O 0.288 0.538 0.104
O 0.602 0.424 0.243
O 0.409 0.563 0.766
O 0.927 0.174 0.411
O 0.745 0.416 0.554
O 0.014 0.804 0.610
O 0.580 0.093 0.301
O 0.255 0.593 0.441
O 0.887 0.106 0.744
O 0.901 0.248 0.074
Li 0.296 0.844 0.641
Li 0.860 0.632 0.318
Li 0.747 0.149 0.350
Li 0.637 0.308 0.846
Mn 0.347 0.354 0.349
Mn 0.153 0.151 0.150
Mn 0.653 0.658 0.660
Sn 0.850 0.847 0.851
Cr 0.015 0.998 0.004
Cr 0.494 0.500 0.500

For the calculated formation energy, the calculation gives -2.4952 eV/atom. Its spin magnetization is 23.00 μB per formula unit. The calculation puts the final energy at -283.99 eV for the cell shown.



Density functional theory data (PBE with a Hubbard U) for a relaxed structure of MgCo3NiO8.

Cell lengths 5.685, 5.752, 5.793 Å; angles 73.44, 60.00, 61.96 degrees
Atoms (fractional coordinates):
O 0.757 0.305 0.194
O 0.289 0.163 0.800
O 0.239 0.700 0.801
O 0.725 0.856 0.211
O 0.191 0.853 0.213
O 0.240 0.316 0.209
O 0.759 0.171 0.799
O 0.725 0.719 0.818
Co 0.491 0.510 0.002
Co 0.996 0.512 0.005
Co 0.475 0.016 0.033
Mg 0.752 0.013 0.507
Ni 0.004 0.008 0.982

For the calculated formation energy, the calculation gives -1.2702 eV/atom. Its spin magnetization is 7.00 μB per formula unit. The calculation puts the final energy at -71.85 eV for the cell shown.



Density functional theory data (PBE with a Hubbard U) for a relaxed structure of Li5Co2O6.

Cell lengths 8.930, 8.930, 3.491 Å; angles 90.00, 90.00, 90.92 degrees
Atoms (fractional coordinates):
Co 0.611 0.611 0.000
Co 0.389 0.389 0.000
Co 0.885 0.115 0.500
Co 0.115 0.885 0.500
O 0.393 0.190 0.000
O 0.190 0.393 0.000
O 0.405 0.595 0.000
O 0.899 0.311 0.500
O 0.607 0.810 0.000
O 0.311 0.899 0.500
O 0.689 0.101 0.500
O 0.595 0.405 0.000
O 0.101 0.689 0.500
O 0.096 0.096 0.500
O 0.904 0.904 0.500
O 0.810 0.607 0.000
Li 0.179 0.612 0.000
Li 0.373 0.103 0.500
Li 0.171 0.171 0.000
Li 0.103 0.373 0.500
Li 0.829 0.829 0.000
Li 0.627 0.897 0.500
Li 0.612 0.179 0.000
Li 0.388 0.821 0.000
Li 0.821 0.388 0.000
Li 0.897 0.627 0.500

For the calculated formation energy, the calculation gives -1.6270 eV/atom. Its spin magnetization is 0.63 μB per formula unit. The calculation puts the final energy at -134.40 eV for the cell shown.



Density functional theory data (PBE with a Hubbard U) for a relaxed structure of Mn3Cu3O8.

Cell lengths 8.454, 8.454, 8.454 Å; angles 90.00, 90.00, 90.00 degrees
Atoms (fractional coordinates):
Mn 0.625 0.121 0.129
Mn 0.879 0.629 0.875
Mn 0.629 0.875 0.879
Mn 0.371 0.375 0.621
Mn 0.875 0.879 0.629
Mn 0.129 0.625 0.121
Mn 0.379 0.871 0.125
Mn 0.621 0.371 0.375
Mn 0.871 0.125 0.379
Mn 0.121 0.129 0.625
Mn 0.375 0.621 0.371
Mn 0.125 0.379 0.871
O 0.877 0.890 0.396
O 0.373 0.854 0.360
O 0.396 0.877 0.890
O 0.873 0.646 0.640
O 0.883 0.117 0.617
O 0.360 0.373 0.854
O 0.646 0.640 0.873
O 0.623 0.110 0.896
O 0.640 0.873 0.646
O 0.104 0.123 0.390
O 0.123 0.390 0.104
O 0.604 0.377 0.610
O 0.617 0.883 0.117
O 0.627 0.354 0.140
O 0.890 0.396 0.877
O 0.377 0.610 0.604
O 0.383 0.383 0.383
O 0.354 0.140 0.627
O 0.610 0.604 0.377
O 0.854 0.360 0.373
O 0.127 0.146 0.860
O 0.390 0.104 0.123
O 0.367 0.633 0.133
O 0.633 0.133 0.367
O 0.117 0.617 0.883
O 0.867 0.867 0.867
O 0.896 0.623 0.110
O 0.140 0.627 0.354
O 0.146 0.860 0.127
O 0.110 0.896 0.623
O 0.133 0.367 0.633
O 0.860 0.127 0.146
Cu 0.375 0.125 0.875
Cu 0.493 0.993 0.507
Cu 0.757 0.743 0.257
Cu 0.625 0.625 0.625
Cu 0.243 0.243 0.243
Cu 0.257 0.757 0.743
Cu 0.993 0.507 0.493
Cu 0.875 0.375 0.125
Cu 0.507 0.493 0.993
Cu 0.743 0.257 0.757
Cu 0.007 0.007 0.007
Cu 0.125 0.875 0.375

For the calculated formation energy, the calculation gives -1.4916 eV/atom. Its spin magnetization is 8.00 μB per formula unit. The calculation puts the final energy at -359.00 eV for the cell shown.



Density functional theory data (PBE with a Hubbard U) for a relaxed structure of YVO4.

Cell lengths 6.022, 6.022, 6.022 Å; angles 106.23, 106.23, 116.16 degrees
Atoms (fractional coordinates):
Y 0.250 0.750 0.500
Y 0.000 0.000 0.000
O 0.759 0.075 0.685
O 0.325 0.509 0.185
O 0.325 0.140 0.815
O 0.491 0.675 0.815
O 0.390 0.075 0.315
O 0.925 0.241 0.315
O 0.860 0.675 0.185
O 0.925 0.610 0.685
V 0.500 0.500 0.000
V 0.750 0.250 0.500

For the calculated formation energy, the calculation gives -3.1912 eV/atom. The calculation puts the final energy at -100.08 eV for the cell shown.



Density functional theory data (PBE with a Hubbard U) for a relaxed structure of Sr3CaMn2O8.

Cell lengths 5.411, 5.410, 13.023 Å; angles 78.00, 78.00, 89.98 degrees
Atoms (fractional coordinates):
Sr 0.071 0.571 0.858
Sr 0.678 0.678 0.644
Sr 0.324 0.324 0.351
Sr 0.824 0.824 0.351
Sr 0.571 0.071 0.858
Sr 0.178 0.178 0.644
O 0.332 0.832 0.336
O 0.421 0.421 0.158
O 0.246 0.746 0.007
O 0.001 0.001 0.497
O 0.172 0.672 0.655
O 0.246 0.246 0.007
O 0.077 0.077 0.846
O 0.672 0.172 0.655
O 0.001 0.501 0.497
O 0.577 0.577 0.846
O 0.746 0.746 0.007
O 0.746 0.246 0.007
O 0.832 0.332 0.336
O 0.921 0.921 0.158
O 0.501 0.001 0.497
O 0.501 0.501 0.497
Mn 0.752 0.252 0.496
Mn 0.998 0.998 0.004
Mn 0.252 0.752 0.496
Mn 0.498 0.498 0.004
Ca 0.429 0.929 0.142
Ca 0.929 0.429 0.142

For the calculated formation energy, the calculation gives -2.7016 eV/atom. Its spin magnetization is 3.00 μB per formula unit. The calculation puts the final energy at -187.94 eV for the cell shown.